VASP calculation (PBE-GGA) on a geometry-optimized Mo15N16 structure.

Energy of formation from the pure elements (meV per atom): -539
Electronic total energy (eV per atom): -9.90

Cell: 8.0472 8.0472 9.9600 Å, 89.98 89.98 90.95°
Last column: nearest neighbours and their distance in Å.
Fractional coordinates of all 62 atoms:
Mo 0.4950 0.7457 0.0103  6 N 2.14-2.20
Mo 0.4950 0.7441 0.5011  6 N 2.15-2.21
Mo 0.6134 0.6285 0.2443  6 N 2.16-2.21
Mo 0.6285 0.6134 0.7443  6 N 2.16-2.21
Mo 0.9972 0.7440 0.4926  6 N 2.16-2.19
Mo 0.7457 0.4950 0.5103  6 N 2.14-2.20
Mo 0.7441 0.4950 0.0011  6 N 2.15-2.21
Mo 0.9943 0.7435 0.9978  6 N 2.11-2.22
Mo 0.8772 0.3889 0.7462  6 N 2.09-2.29
Mo 0.1161 0.6256 0.2569  6 N 2.16-2.22
Mo 0.8662 0.3530 0.2432  6 N 2.08-2.28
Mo 0.2452 0.4971 0.9876  6 N 2.11-2.23
Mo 0.9969 0.2446 0.0084  6 N 2.16-2.24
Mo 0.9930 0.2445 0.5021  6 N 2.14-2.21
Mo 0.2428 0.4947 0.4986  6 N 2.13-2.22
Mo 0.1151 0.1269 0.2437  6 N 2.15-2.23
Mo 0.3676 0.3758 0.7570  6 N 2.14-2.22
Mo 0.1269 0.1151 0.7437  6 N 2.15-2.23
Mo 0.3758 0.3676 0.2570  6 N 2.14-2.22
Mo 0.2446 0.9969 0.5084  6 N 2.16-2.24
Mo 0.4971 0.2452 0.4876  6 N 2.11-2.23
Mo 0.2445 0.9930 0.0021  6 N 2.14-2.21
Mo 0.4947 0.2428 0.9986  6 N 2.13-2.22
Mo 0.3530 0.8662 0.7432  6 N 2.08-2.28
Mo 0.3889 0.8772 0.2462  6 N 2.09-2.29
Mo 0.6256 0.1161 0.7569  6 N 2.16-2.22
Mo 0.7435 0.9943 0.4978  6 N 2.11-2.22
Mo 0.7440 0.9972 0.9926  6 N 2.16-2.19
Mo 0.8659 0.8766 0.7551  6 N 2.14-2.19
Mo 0.8766 0.8659 0.2551  6 N 2.14-2.19
N 0.2483 0.7457 0.9160  5 Mo 2.12-2.20
N 0.3724 0.6190 0.6677  5 Mo 2.14-2.21
N 0.3637 0.6160 0.1660  6 Mo 2.14-2.25
N 0.4980 0.4994 0.9165  6 Mo 2.14-2.22
N 0.7492 0.7491 0.5839  6 Mo 2.15-2.21
N 0.4994 0.4980 0.4165  6 Mo 2.14-2.22
N 0.6160 0.3637 0.6660  6 Mo 2.14-2.25
N 0.6190 0.3724 0.1677  5 Mo 2.14-2.21
N 0.8632 0.6133 0.3339  6 Mo 2.17-2.28
N 0.8741 0.6236 0.8350  5 Mo 2.09-2.21
N 0.9995 0.4978 0.5826  5 Mo 2.09-2.19
N 0.7457 0.2483 0.4160  5 Mo 2.12-2.20
N 0.7483 0.2489 0.9180  6 Mo 2.15-2.29
N 0.9973 0.4973 0.0835  6 Mo 2.16-2.22
N 0.1178 0.3700 0.8321  5 Mo 2.11-2.24
N 0.8659 0.1124 0.1656  5 Mo 2.08-2.18
N 0.8706 0.1238 0.6670  6 Mo 2.14-2.27
N 0.1193 0.3701 0.3340  6 Mo 2.15-2.23
N 0.9987 0.9968 0.9155  6 Mo 2.14-2.20
N 0.2490 0.2486 0.0837  6 Mo 2.15-2.22
N 0.9968 0.9987 0.4155  6 Mo 2.14-2.20
N 0.2486 0.2490 0.5837  6 Mo 2.15-2.22
N 0.3700 0.1178 0.3321  5 Mo 2.11-2.24
N 0.1124 0.8659 0.6656  5 Mo 2.08-2.18
N 0.1238 0.8706 0.1670  6 Mo 2.14-2.27
N 0.3701 0.1193 0.8340  6 Mo 2.15-2.23
N 0.4973 0.9973 0.5835  6 Mo 2.16-2.22
N 0.2489 0.7483 0.4180  6 Mo 2.15-2.29
N 0.4978 0.9995 0.0826  5 Mo 2.09-2.19
N 0.6133 0.8632 0.8339  6 Mo 2.17-2.28
N 0.6236 0.8741 0.3350  5 Mo 2.09-2.21
N 0.7491 0.7492 0.0839  6 Mo 2.15-2.21